A geometry-optimized Dy3Y5O12 structure. Source: Materials Project, functional r²SCAN.

a = 9.1801 Å, b = 9.1815 Å, c = 9.1815 Å
α = 109.47°, β = 109.46°, γ = 109.48°
Closest atoms and distances in Å follow each position.
Positions (direct):
Dy 0.4674 0.2500 0.7173  6 O 2.25-2.33
Dy 0.5324 0.7500 0.2825  6 O 2.25-2.33
Dy 0.0327 0.7501 0.7827  6 O 2.25-2.33
Dy 0.2501 0.2825 0.0325  6 O 2.25-2.34
Dy 0.7500 0.2175 0.4675  6 O 2.25-2.33
Dy 0.2825 0.0325 0.2500  6 O 2.25-2.34
Y 0.7176 0.9676 0.7500  6 O 2.25-2.33
Y 0.4999 0.0000 0.0000  6 O 2.28
Y 0.7500 0.7174 0.9675  6 O 2.25-2.34
Y 0.2500 0.7826 0.5325  6 O 2.25-2.33
Y 0.9676 0.2499 0.2176  6 O 2.25-2.34
Y 0.5001 0.4999 0.5000  6 O 2.28
Y 0.0000 0.0000 0.5001  6 O 2.28
Y 0.2175 0.4675 0.7500  6 O 2.25-2.34
Y 0.7824 0.5324 0.2500  6 O 2.25-2.33
Y 0.0001 0.5001 0.0000  6 O 2.28-2.29
O 0.7292 0.4573 0.9684  1 Dy 2.25, 3 Y 2.27-2.33
O 0.5111 0.0427 0.7719  1 Dy 2.25, 3 Y 2.27-2.33
O 0.2604 0.0311 0.9887  3 Dy 2.25-2.33, 1 Y 2.28
O 0.4578 0.7284 0.4889  3 Y 2.25-2.33, 1 Dy 2.26
O 0.2395 0.2282 0.7706  2 Dy 2.25-2.26, 2 Y 2.28-2.34
O 0.0425 0.5315 0.2707  4 Y 2.25-2.33
O 0.7708 0.7391 0.7281  1 Dy 2.25, 3 Y 2.27-2.34
O 0.9889 0.7609 0.5316  1 Dy 2.25, 3 Y 2.27-2.33
O 0.7283 0.2706 0.2396  3 Y 2.25-2.34, 1 Dy 2.26
O 0.4685 0.5110 0.7391  3 Y 2.25-2.28, 1 Dy 2.33
O 0.9691 0.2294 0.9577  3 Y 2.25-2.33, 1 Dy 2.26
O 0.2281 0.9889 0.4573  2 Dy 2.25-2.33, 2 Y 2.27-2.28
O 0.7716 0.0113 0.5422  2 Y 2.25-2.28, 2 Dy 2.26-2.33
O 0.0316 0.7708 0.0427  2 Dy 2.25-2.33, 2 Y 2.27-2.28
O 0.5309 0.4887 0.2603  2 Y 2.25-2.28, 2 Dy 2.26-2.33
O 0.2718 0.7293 0.7608  3 Y 2.25-2.28, 1 Dy 2.33
O 0.0110 0.2392 0.4685  3 Y 2.25-2.28, 1 Dy 2.33
O 0.2295 0.2604 0.2716  2 Y 2.25-2.28, 2 Dy 2.26-2.33
O 0.7604 0.7716 0.2294  3 Y 2.25-2.33, 1 Dy 2.26
O 0.9575 0.4689 0.7293  2 Dy 2.25-2.26, 2 Y 2.28-2.34
O 0.5424 0.2717 0.5113  3 Dy 2.25-2.34, 1 Y 2.28
O 0.7391 0.9685 0.0109  4 Y 2.25-2.33
O 0.2708 0.5426 0.0315  2 Dy 2.25-2.34, 2 Y 2.27-2.28
O 0.4887 0.9577 0.2283  3 Dy 2.25-2.33, 1 Y 2.28

Results
space-group type: P1 (1)

---

A geometry-optimized DyY7O12 structure. Source: Materials Project, functional r²SCAN.

a = 9.1846 Å, b = 9.1846 Å, c = 9.1846 Å
α = 109.48°, β = 109.47°, γ = 109.46°
Closest atoms and distances in Å follow each position.
Positions (direct):
Dy 0.2826 0.0326 0.2500  6 O 2.25-2.33
Dy 0.2174 0.4674 0.7500  6 O 2.25-2.33
Y 0.7825 0.5325 0.2500  6 O 2.25-2.34
Y 0.0000 0.5001 0.0000  6 O 2.28
Y 0.2500 0.7825 0.5325  6 O 2.25-2.33
Y 0.7500 0.7175 0.9675  6 O 2.25-2.33
Y 0.9675 0.2500 0.2175  6 O 2.25-2.33
Y 0.4674 0.2500 0.7174  6 O 2.25-2.34
Y 0.5000 0.5000 0.5000  6 O 2.28
Y 0.4999 0.9999 0.0000  6 O 2.28
Y 0.0001 0.0000 0.5000  6 O 2.28
Y 0.7175 0.9675 0.7500  6 O 2.25-2.34
Y 0.5325 0.7500 0.2825  6 O 2.25-2.33
Y 0.0326 0.7500 0.7826  6 O 2.25-2.34
Y 0.7500 0.2176 0.4676  6 O 2.25-2.34
Y 0.2500 0.2824 0.0324  6 O 2.25-2.34
O 0.5109 0.0426 0.7718  4 Y 2.25-2.33
O 0.7293 0.4574 0.9684  4 Y 2.25-2.33
O 0.9575 0.4685 0.7293  3 Y 2.25-2.28, 1 Dy 2.33
O 0.7608 0.7718 0.2293  4 Y 2.25-2.34
O 0.5425 0.2718 0.5110  3 Y 2.25-2.28, 1 Dy 2.33
O 0.7392 0.9684 0.0110  4 Y 2.25-2.34
O 0.7707 0.7391 0.7282  4 Y 2.25-2.33
O 0.9891 0.7609 0.5316  4 Y 2.25-2.33
O 0.2281 0.9890 0.4573  1 Dy 2.25, 3 Y 2.27-2.34
O 0.9684 0.2293 0.9575  4 Y 2.25-2.33
O 0.7282 0.2707 0.2391  4 Y 2.25-2.33
O 0.4683 0.5110 0.7391  1 Dy 2.25, 3 Y 2.27-2.34
O 0.5316 0.4891 0.2609  4 Y 2.25-2.33
O 0.7718 0.0109 0.5425  4 Y 2.25-2.33
O 0.2719 0.7292 0.7609  1 Dy 2.25, 3 Y 2.27-2.34
O 0.0317 0.7708 0.0427  1 Dy 2.25, 3 Y 2.27-2.34
O 0.0112 0.2395 0.4689  3 Y 2.25-2.34, 1 Dy 2.26
O 0.2294 0.2605 0.2717  3 Y 2.25-2.34, 1 Dy 2.26
O 0.4574 0.7282 0.4890  4 Y 2.25-2.34
O 0.2608 0.0315 0.9890  3 Y 2.25-2.28, 1 Dy 2.33
O 0.0426 0.5316 0.2707  4 Y 2.25-2.34
O 0.2392 0.2282 0.7707  3 Y 2.25-2.28, 1 Dy 2.33
O 0.4888 0.9577 0.2283  3 Y 2.25-2.34, 1 Dy 2.26
O 0.2706 0.5423 0.0311  3 Y 2.25-2.34, 1 Dy 2.26

Results
space-group type: I2_12_12_1 (24)

---

A geometry-optimized DySi2Os2 structure. Source: Materials Project, functional r²SCAN.

a = 4.1697 Å, b = 4.1697 Å, c = 5.6244 Å
α = 111.76°, β = 111.76°, γ = 90.00°
Closest atoms and distances in Å follow each position.
Positions (direct):
Dy 0.0000 0.0000 0.0000  8 Os 3.18, 10 Si 3.20-3.55
Si 0.6296 0.6296 0.2592  4 Os 2.38, 1 Si 2.48
Si 0.3704 0.3704 0.7408  4 Os 2.38, 1 Si 2.48
Os 0.2500 0.7500 0.5000  4 Si 2.38
Os 0.7500 0.2500 0.5000  4 Si 2.38

Results
space-group type: I4/mmm (139)

---

A geometry-optimized DyP5 structure. Source: Materials Project, functional r²SCAN.

a = 4.9582 Å, b = 5.3495 Å, c = 9.3892 Å
α = 90.00°, β = 90.00°, γ = 102.29°
Closest atoms and distances in Å follow each position.
Positions (direct):
Dy 0.0027 0.3475 0.2500  8 P 2.93-3.03
Dy 0.9973 0.6525 0.7500  8 P 2.93-3.03
P 0.2806 0.8939 0.2500  2 P 2.20
P 0.7194 0.1061 0.7500  2 P 2.20
P 0.6148 0.9545 0.4079  3 P 2.15-2.20
P 0.3852 0.0455 0.9079  3 P 2.15-2.20
P 0.3852 0.0455 0.5921  3 P 2.15-2.20
P 0.6148 0.9545 0.0921  3 P 2.15-2.20
P 0.7117 0.5968 0.4712  2 P 2.15-2.20
P 0.2883 0.4032 0.9712  2 P 2.15-2.20
P 0.2883 0.4032 0.5288  2 P 2.15-2.20
P 0.7117 0.5968 0.0288  2 P 2.15-2.20

Results
space-group type: P2_1/m (11)

---

A geometry-optimized DyP2Pd2 structure. Source: Materials Project, functional r²SCAN.

a = 5.7061 Å, b = 5.7061 Å, c = 5.7061 Å
α = 138.13°, β = 138.13°, γ = 60.71°
Closest atoms and distances in Å follow each position.
Positions (direct):
Dy 0.0000 0.0000 0.0000  8 P 3.08, 8 Pd 3.20
P 0.3896 0.3896 0.0000  1 P 2.17
P 0.6104 0.6104 0.0000  1 P 2.17
Pd 0.7500 0.2500 0.5000  4 P 2.46
Pd 0.2500 0.7500 0.5000  4 P 2.46

Results
space-group type: I4/mmm (139)

---

A geometry-optimized DyP2Pt8 structure. Source: Materials Project, functional r²SCAN.

a = 4.0128 Å, b = 6.2866 Å, c = 7.7364 Å
α = 83.28°, β = 74.93°, γ = 71.38°
Closest atoms and distances in Å follow each position.
Positions (direct):
Dy 0.5000 0.5000 0.5000  12 Pt 3.00-3.30, 4 P 3.16-3.17
P 0.0573 0.1744 0.7098  5 Pt 2.21-2.33
P 0.9427 0.8256 0.2902  5 Pt 2.21-2.33
Pt 0.2196 0.1451 0.4162  1 P 2.21
Pt 0.8224 0.5093 0.8452  1 P 2.27
Pt 0.1776 0.4907 0.1548  1 P 2.27
Pt 0.1661 0.8202 0.8471  1 P 2.31
Pt 0.4759 0.1778 0.8691  2 P 2.33
Pt 0.5241 0.8222 0.1309  2 P 2.33
Pt 0.7804 0.8549 0.5838  1 P 2.21
Pt 0.8339 0.1798 0.1529  1 P 2.31

Results
space-group type: C2/m (12)

---

A geometry-optimized DyP2Ru2 structure. Source: Materials Project, functional r²SCAN.

a = 4.0341 Å, b = 4.0341 Å, c = 5.5465 Å
α = 111.33°, β = 111.33°, γ = 90.00°
Closest atoms and distances in Å follow each position.
Positions (direct):
Dy 0.0000 0.0000 0.0000  8 P 3.09, 8 Ru 3.12
P 0.3746 0.3746 0.7492  4 Ru 2.34, 1 P 2.39
P 0.6254 0.6254 0.2508  4 Ru 2.34, 1 P 2.39
Ru 0.7500 0.2500 0.5000  4 P 2.34
Ru 0.2500 0.7500 0.5000  4 P 2.34

Results
space-group type: I4/mmm (139)

---

A geometry-optimized Dy5P12Ru19 structure. Source: Materials Project, functional r²SCAN.

a = 12.4373 Å, b = 12.4373 Å, c = 3.9654 Å
α = 90.00°, β = 90.00°, γ = 120.00°
Closest atoms and distances in Å follow each position.
Positions (direct):
Dy 0.6667 0.3333 0.0000  6 P 2.96-2.97, 9 Ru 3.11-3.12
Dy 0.3333 0.6667 0.0000  6 P 2.96, 9 Ru 3.11-3.12
Dy 0.8164 0.0000 0.5000  10 Ru 3.02-3.35, 6 P 3.03-3.08
Dy 0.1836 0.1836 0.5000  10 Ru 3.02-3.35, 6 P 3.03-3.08
Dy 0.0000 0.8164 0.5000  10 Ru 3.02-3.35, 6 P 3.03-3.08
P 0.6272 0.0000 0.0000  7 Ru 2.26-2.50
P 0.3727 0.3727 0.0000  7 Ru 2.26-2.50
P 0.0000 0.6273 0.0000  7 Ru 2.26-2.50
P 0.6946 0.5229 0.5000  5 Ru 2.28-2.39
P 0.8283 0.3054 0.5000  5 Ru 2.28-2.39
P 0.3054 0.8283 0.5000  5 Ru 2.28-2.39
P 0.5229 0.6946 0.5000  5 Ru 2.28-2.39
P 0.1849 0.0000 0.0000  5 Ru 2.30-2.35
P 0.8151 0.8151 0.0000  5 Ru 2.30-2.35
P 0.0000 0.1849 0.0000  5 Ru 2.30-2.35
P 0.4771 0.1717 0.5000  5 Ru 2.28-2.39
P 0.1717 0.4771 0.5000  5 Ru 2.28-2.39
Ru 0.6227 0.8079 0.0000  4 P 2.35-2.39
Ru 0.1851 0.3773 0.0000  4 P 2.35-2.39
Ru 0.3773 0.1851 0.0000  4 P 2.35-2.39
Ru 0.1922 0.8148 0.0000  4 P 2.35-2.39
Ru 0.8079 0.6227 0.0000  4 P 2.35-2.39
Ru 0.8742 0.5074 0.5000  4 P 2.28-2.50
Ru 0.4926 0.3668 0.5000  4 P 2.28-2.50
Ru 0.6332 0.1259 0.5000  4 P 2.28-2.50
Ru 0.1259 0.6332 0.5000  4 P 2.28-2.50
Ru 0.3667 0.4926 0.5000  4 P 2.28-2.50
Ru 0.5073 0.8741 0.5000  4 P 2.28-2.50
Ru 0.0000 0.0000 0.0000  3 P 2.30
Ru 0.7172 0.7172 0.5000  4 P 2.29-2.33
Ru 0.0000 0.2828 0.5000  4 P 2.29-2.33
Ru 0.4456 0.0000 0.0000  1 P 2.26
Ru 0.5544 0.5544 0.0000  1 P 2.26
Ru 0.0000 0.4456 0.0000  1 P 2.26
Ru 0.8149 0.1922 0.0000  4 P 2.35-2.39
Ru 0.2828 0.0000 0.5000  4 P 2.29-2.33

Results
space-group type: P-62m (189)

---

The evaluated V for the records listed, in turn: 595.83, 596.43, 83.27, 243.33, 81.89, 178.47, 77.41, 531.21 Å³/cell.
The evaluated formation enthalpy at 0 K for the records listed, in turn: -3.914, -3.907, -0.815, -0.637, -1.003, -0.720, -1.125, -0.933 eV per atom.